Entry 1:
AlPt3, relaxed, DFT GGA-PBE; total magnetization = 0.00 μB per atom; SG = P4/mbm (127); ΔH_f (0 K) = -0.508 eV/atom
1.0
-2.950 1.395 -5.712
3.831 -4.392 -3.051
-3.906 -4.112 1.013
Pt Al
12 4
direct
0.500 0.500 0.251
0.000 0.000 0.251
0.722 0.778 0.500
0.263 0.763 0.000
0.222 0.722 0.500
0.500 0.500 0.749
0.278 0.222 0.500
0.778 0.278 0.500
0.237 0.263 0.000
0.000 0.000 0.749
0.763 0.737 0.000
0.737 0.237 0.000
0.500 0.000 0.755
0.000 0.500 0.245
0.000 0.500 0.755
0.500 0.000 0.245



Entry 2:
AlPt3, relaxed, DFT GGA-PBE; SG = Pm-3m (221); ΔH_f (0 K) = -0.680 eV/atom
1.0
3.923 0.000 0.000
0.000 3.923 0.000
0.000 0.000 3.923
Pt Al
3 1
direct
0.500 0.000 0.500
0.000 0.500 0.500
0.500 0.500 0.000
0.000 0.000 0.000



Entry 3:
ScAlPt2, relaxed, DFT GGA-PBE; SG = Fm-3m (225); ΔH_f (0 K) = -1.115 eV/atom
1.0
0.000 3.200 3.200
3.200 0.000 3.200
3.200 3.200 0.000
Pt Sc Al
2 1 1
direct
0.250 0.250 0.250
0.750 0.750 0.750
0.000 0.000 0.000
0.500 0.500 0.500



Entry 4:
Tb2Al6Si4Pt, relaxed, DFT GGA-PBE; SG = R-3m (166); ΔH_f (0 K) = -0.523 eV/atom
1.0
-2.864 -10.158 -13.455
1.093 -9.196 -14.375
0.263 -12.374 -11.799
Al Si Tb Pt
6 4 2 1
direct
0.050 0.050 0.050
0.185 0.185 0.185
0.682 0.682 0.682
0.318 0.318 0.318
0.950 0.950 0.950
0.815 0.815 0.815
0.266 0.266 0.266
0.135 0.135 0.135
0.734 0.734 0.734
0.865 0.865 0.865
0.434 0.434 0.434
0.566 0.566 0.566
0.000 0.000 0.000



Entry 5:
SmAlPt, relaxed, DFT GGA-PBE; SG = Pnma (62); ΔH_f (0 K) = -1.092 eV/atom
1.0
4.471 0.000 0.000
0.000 7.066 0.000
0.000 0.000 7.842
Al Pt Sm
4 4 4
direct
0.750 0.853 0.934
0.250 0.147 0.066
0.750 0.353 0.566
0.250 0.647 0.434
0.250 0.780 0.112
0.250 0.280 0.388
0.750 0.720 0.612
0.750 0.220 0.888
0.750 0.470 0.182
0.250 0.030 0.682
0.750 0.970 0.318
0.250 0.530 0.818



Entry 6:
TbAlPt, relaxed, DFT GGA-PBE; SG = Pnma (62); ΔH_f (0 K) = -1.143 eV/atom
1.0
4.444 0.000 0.000
0.000 6.926 0.000
0.000 0.000 7.769
Pt Al Tb
4 4 4
direct
0.750 0.224 0.886
0.750 0.724 0.614
0.250 0.776 0.114
0.250 0.276 0.386
0.750 0.352 0.565
0.250 0.148 0.065
0.250 0.648 0.435
0.750 0.852 0.935
0.250 0.530 0.817
0.750 0.470 0.183
0.250 0.030 0.683
0.750 0.970 0.317



Entry 7:
Tb4Al24Pt9, relaxed, DFT GGA-PBE; SG = P-1 (2); ΔH_f (0 K) = -0.914 eV/atom
1.0
6.202 -2.430 3.481
3.836 -5.883 -2.773
9.242 7.276 -6.045
Pt Al Tb
9 24 4
direct
0.539 0.167 0.361
0.000 0.500 0.000
0.657 0.171 0.000
0.220 0.826 0.363
0.780 0.174 0.637
0.343 0.829 0.000
0.880 0.507 0.361
0.120 0.493 0.639
0.461 0.833 0.639
0.938 0.368 0.184
0.986 0.832 0.047
0.438 0.506 0.670
0.014 0.168 0.953
0.110 0.160 0.669
0.783 0.835 0.670
0.734 0.164 0.183
0.147 0.832 0.561
0.854 0.041 0.816
0.146 0.959 0.184
0.353 0.499 0.945
0.853 0.168 0.439
0.685 0.833 0.944
0.217 0.165 0.330
0.890 0.840 0.331
0.480 0.167 0.559
0.562 0.494 0.330
0.813 0.501 0.559
0.647 0.501 0.055
0.266 0.836 0.817
0.520 0.833 0.441
0.315 0.167 0.056
0.062 0.632 0.816
0.187 0.499 0.441
0.606 0.832 0.192
0.266 0.502 0.192
0.734 0.498 0.808
0.394 0.168 0.808



Entry 8:
ThAlPt, relaxed, DFT GGA-PBE; SG = P-62m (189); ΔH_f (0 K) = -1.086 eV/atom
1.0
0.000 0.000 -4.181
-3.656 -6.332 0.000
-3.656 6.332 0.000
Th Al Pt
3 3 3
direct
0.500 0.419 0.000
0.500 0.000 0.419
0.500 0.581 0.581
0.000 0.767 0.000
0.000 0.000 0.767
0.000 0.233 0.233
0.000 0.667 0.333
0.500 0.000 0.000
0.000 0.333 0.667



Entry 9:
TiAlPt, relaxed, DFT GGA-PBE; SG = P6_3/mmc (194); ΔH_f (0 K) = -0.915 eV/atom
1.0
-2.225 -3.854 0.000
-2.225 3.854 0.000
0.000 0.000 -5.412
Ti Pt Al
2 2 2
direct
0.000 0.000 0.000
0.000 0.000 0.500
0.667 0.333 0.750
0.333 0.667 0.250
0.333 0.667 0.750
0.667 0.333 0.250



Entry 10:
Ti6Al16Pt7, relaxed, DFT GGA-PBE; SG = Fm-3m (225); ΔH_f (0 K) = -0.808 eV/atom
1.0
-8.125 -2.969 -0.375
-6.613 5.218 2.002
-5.347 2.791 -6.212
Ti Pt Al
6 7 16
direct
0.827 0.173 0.173
0.173 0.827 0.173
0.173 0.827 0.827
0.173 0.173 0.827
0.827 0.173 0.827
0.827 0.827 0.173
0.500 0.000 0.000
0.500 0.500 0.500
0.000 0.500 0.000
0.500 0.000 0.500
0.500 0.500 0.000
0.000 0.000 0.500
0.000 0.500 0.500
0.861 0.380 0.380
0.620 0.620 0.620
0.380 0.861 0.380
0.139 0.620 0.620
0.479 0.840 0.840
0.840 0.840 0.840
0.521 0.160 0.160
0.160 0.521 0.160
0.160 0.160 0.521
0.840 0.840 0.479
0.160 0.160 0.160
0.840 0.479 0.840
0.380 0.380 0.380
0.620 0.139 0.620
0.380 0.380 0.861
0.620 0.620 0.139



Entry 11:
Tm4Al24Pt9, relaxed, DFT GGA-PBE; SG = P-1 (2); ΔH_f (0 K) = -0.896 eV/atom
1.0
7.020 -1.731 -1.873
1.583 -2.320 -6.993
4.357 11.692 -4.218
Al Pt Tm
24 9 4
direct
0.854 0.167 0.439
0.521 0.833 0.442
0.562 0.494 0.329
0.354 0.499 0.944
0.783 0.835 0.671
0.145 0.959 0.184
0.109 0.161 0.670
0.315 0.166 0.056
0.186 0.499 0.442
0.217 0.165 0.329
0.062 0.631 0.815
0.016 0.168 0.952
0.266 0.837 0.817
0.146 0.833 0.561
0.438 0.506 0.671
0.479 0.167 0.558
0.814 0.501 0.558
0.891 0.839 0.330
0.938 0.369 0.185
0.984 0.832 0.048
0.685 0.834 0.944
0.646 0.501 0.056
0.855 0.041 0.816
0.734 0.163 0.183
0.120 0.492 0.639
0.779 0.175 0.637
0.343 0.829 0.000
0.880 0.508 0.361
0.657 0.171 0.000
0.538 0.167 0.361
0.221 0.825 0.363
0.000 0.500 0.000
0.462 0.833 0.639
0.265 0.502 0.193
0.607 0.831 0.192
0.735 0.498 0.807
0.393 0.169 0.808



Entry 12:
TmAlPt, relaxed, DFT GGA-PBE; SG = Pnma (62); ΔH_f (0 K) = -1.176 eV/atom
1.0
4.404 0.000 0.000
0.000 6.815 0.000
0.000 0.000 7.710
Tm Al Pt
4 4 4
direct
0.750 0.472 0.183
0.750 0.972 0.317
0.250 0.028 0.683
0.250 0.528 0.817
0.750 0.350 0.565
0.250 0.650 0.435
0.750 0.850 0.935
0.250 0.150 0.065
0.250 0.273 0.386
0.250 0.773 0.114
0.750 0.227 0.886
0.750 0.727 0.614